Record 1
An optimized crystal structure of Ca5Mn4O9. Source: Materials Project, functional PBE with a Hubbard U.

## Properties
For the energy of formation from the pure elements, the calculation gives -2690 meV/atom.

Cell lengths 8.722, 8.722, 9.903 Å; angles 124.10, 124.10, 22.01 degrees
Fractional positions:
1 Ca 0.000 0.000 0.000
2 Ca 0.003 0.003 0.656
3 Ca 0.328 0.328 0.656
4 Ca 0.336 0.336 0.323
5 Ca 0.669 0.669 0.991
6 Mn 0.004 0.004 0.326
7 Mn 0.333 0.333 0.991
8 Mn 0.666 0.666 0.656
9 Mn 0.667 0.667 0.326
10 O 0.162 0.162 0.486
11 O 0.168 0.168 0.165
12 O 0.171 0.171 0.821
13 O 0.501 0.501 0.826
14 O 0.502 0.502 0.170
15 O 0.505 0.505 0.490
16 O 0.829 0.829 0.829
17 O 0.830 0.830 0.488
18 O 0.838 0.838 0.153

Record 2
An optimized crystal structure of CaMn2O4. Source: Materials Project, functional PBE with a Hubbard U.

## Properties
For the energy above the lowest structure with this stoichiometry, the calculation gives 1.20 eV per formula unit. For the energy of formation from the pure elements, the calculation gives -2276 meV/atom.

Cell lengths 6.336, 6.336, 6.336 Å; angles 121.52, 119.86, 88.81 degrees
Fractional positions:
1 Ca 0.000 0.000 0.000
2 Ca 0.500 0.000 0.500
3 Mn 0.000 0.000 0.500
4 Mn 0.000 0.500 0.000
5 Mn 0.357 0.607 0.750
6 Mn 0.643 0.393 0.250
7 O 0.207 0.744 0.463
8 O 0.214 0.215 0.502
9 O 0.214 0.712 0.998
10 O 0.220 0.256 0.963
11 O 0.780 0.744 0.037
12 O 0.786 0.288 0.002
13 O 0.786 0.785 0.498
14 O 0.793 0.256 0.537

Record 3
An optimized crystal structure of CaMn2O4. Source: Materials Project, functional PBE with a Hubbard U.

## Properties
For the energy above the lowest structure with this stoichiometry, the calculation gives 1.03 eV per formula unit. For the energy of formation from the pure elements, the calculation gives -2301 meV/atom.

Cell lengths 7.469, 7.469, 9.479 Å; angles 120.36, 120.36, 23.04 degrees
Fractional positions:
1 Ca 0.161 0.161 0.176
2 Ca 0.839 0.839 0.824
3 Mn 0.102 0.102 0.813
4 Mn 0.354 0.354 0.516
5 Mn 0.646 0.646 0.484
6 Mn 0.898 0.898 0.187
7 O 0.067 0.067 0.333
8 O 0.246 0.246 0.618
9 O 0.371 0.371 0.292
10 O 0.386 0.386 0.033
11 O 0.614 0.614 0.967
12 O 0.629 0.629 0.708
13 O 0.754 0.754 0.382
14 O 0.933 0.933 0.667

Record 4
An optimized crystal structure of CaMn2O4. Source: Materials Project, functional PBE with a Hubbard U.

## Properties
For the energy above the lowest structure with this stoichiometry, the calculation gives 0.31 eV per formula unit. For the energy of formation from the pure elements, the calculation gives -2403 meV/atom.

Cell lengths 5.164, 6.213, 11.179 Å; angles 90.16, 90.17, 92.96 degrees
Fractional positions:
1 Ca 0.006 0.283 0.251
2 Ca 0.368 0.232 0.749
3 Ca 0.632 0.768 0.251
4 Ca 0.994 0.717 0.749
5 Mn 0.003 0.753 0.014
6 Mn 0.007 0.753 0.486
7 Mn 0.500 0.000 0.000
8 Mn 0.500 0.000 0.500
9 Mn 0.500 0.500 0.000
10 Mn 0.500 0.500 0.500
11 Mn 0.993 0.247 0.514
12 Mn 0.997 0.247 0.986
13 O 0.179 0.469 0.608
14 O 0.180 0.970 0.898
15 O 0.185 0.474 0.891
16 O 0.191 0.963 0.602
17 O 0.297 0.224 0.413
18 O 0.300 0.278 0.089
19 O 0.331 0.776 0.099
20 O 0.332 0.715 0.403
21 O 0.668 0.285 0.597
22 O 0.669 0.224 0.901
23 O 0.700 0.722 0.911
24 O 0.703 0.776 0.587
25 O 0.809 0.037 0.398
26 O 0.815 0.526 0.109
27 O 0.820 0.030 0.102
28 O 0.821 0.531 0.392

Record 5
An optimized crystal structure of CaMn7O12. Source: Materials Project, functional PBE with a Hubbard U.

## Properties
For the energy above the lowest structure with this stoichiometry, the calculation gives 0.43 eV per formula unit. For the energy of formation from the pure elements, the calculation gives -2111 meV/atom.

Cell lengths 7.432, 7.436, 7.636 Å; angles 89.91, 89.88, 89.83 degrees
Fractional positions:
1 Ca 0.000 0.000 0.000
2 Ca 0.497 0.493 0.499
3 Mn 0.000 0.493 0.502
4 Mn 0.248 0.247 0.250
5 Mn 0.248 0.247 0.749
6 Mn 0.249 0.747 0.249
7 Mn 0.249 0.747 0.750
8 Mn 0.498 0.001 0.998
9 Mn 0.499 0.503 0.001
10 Mn 0.500 0.999 0.501
11 Mn 0.749 0.247 0.250
12 Mn 0.749 0.247 0.749
13 Mn 0.749 0.747 0.250
14 Mn 0.749 0.747 0.750
15 Mn 0.997 0.496 0.999
16 Mn 0.998 0.988 0.499
17 O 0.000 0.689 0.177
18 O 0.013 0.309 0.824
19 O 0.174 0.999 0.692
20 O 0.177 0.983 0.315
21 O 0.188 0.673 0.485
22 O 0.192 0.320 0.516
23 O 0.306 0.175 0.983
24 O 0.308 0.822 0.016
25 O 0.320 0.511 0.184
26 O 0.323 0.495 0.808
27 O 0.485 0.185 0.675
28 O 0.497 0.805 0.323
29 O 0.500 0.803 0.677
30 O 0.514 0.190 0.331
31 O 0.676 0.497 0.194
32 O 0.681 0.512 0.820
33 O 0.682 0.182 0.017
34 O 0.692 0.827 0.983
35 O 0.805 0.667 0.516
36 O 0.816 0.312 0.483
37 O 0.818 0.981 0.681
38 O 0.822 0.997 0.305
39 O 0.984 0.304 0.169
40 O 0.998 0.692 0.823

Record 6
An optimized crystal structure of CaMn3O6. Source: Materials Project, functional PBE with a Hubbard U.

## Properties
For the energy above the lowest structure with this stoichiometry, the calculation gives 1.45 eV per formula unit. For the energy of formation from the pure elements, the calculation gives -2132 meV/atom.

Cell lengths 7.141, 7.141, 5.729 Å; angles 91.59, 91.59, 23.94 degrees
Fractional positions:
1 Ca 0.000 0.000 0.000
2 Mn 0.221 0.221 0.862
3 Mn 0.540 0.540 0.493
4 Mn 0.844 0.844 0.381
5 O 0.098 0.098 0.333
6 O 0.285 0.285 0.536
7 O 0.433 0.433 0.252
8 O 0.620 0.620 0.796
9 O 0.789 0.789 0.012
10 O 0.968 0.968 0.625

- energy of formation from the pure elements of number 1 (Ca5Mn4O9)?
  -2690 meV/atom

Copy entry 3 word for word.
An optimized crystal structure of CaMn2O4. Source: Materials Project, functional PBE with a Hubbard U.

## Properties
For the energy above the lowest structure with this stoichiometry, the calculation gives 1.03 eV per formula unit. For the energy of formation from the pure elements, the calculation gives -2301 meV/atom.

Cell lengths 7.469, 7.469, 9.479 Å; angles 120.36, 120.36, 23.04 degrees
Fractional positions:
1 Ca 0.161 0.161 0.176
2 Ca 0.839 0.839 0.824
3 Mn 0.102 0.102 0.813
4 Mn 0.354 0.354 0.516
5 Mn 0.646 0.646 0.484
6 Mn 0.898 0.898 0.187
7 O 0.067 0.067 0.333
8 O 0.246 0.246 0.618
9 O 0.371 0.371 0.292
10 O 0.386 0.386 0.033
11 O 0.614 0.614 0.967
12 O 0.629 0.629 0.708
13 O 0.754 0.754 0.382
14 O 0.933 0.933 0.667

- The highest energy of formation from the pure elements belongs to which entry?
  CaMn7O12

- What is the energy of formation from the pure elements in the third record?
  -2301 meV/atom